The following is a DFT calculation (r2SCAN) of CaH16O10 after structural relaxation.

Output
calculated total energy = -0.4174 Ry per atom
polymorph energy (0 for the lowest one) = 0.0215 eV per atom
space-group type = P1 (1)
DFT formation energy = -1159 meV/atom
density = 1.78 g/cm3

Lattice parameters (Å, degrees): 6.022 6.082 11.186 99.87 90.09 90.01
Atoms (fractional coordinates):
Ca1 0.000 0.000 0.000
Ca2 0.008 0.994 0.500
H1 0.033 0.508 0.382
H2 0.037 0.618 0.640
H3 0.127 0.380 0.211
H4 0.184 0.209 0.781
H5 0.249 0.786 0.791
H6 0.273 0.344 0.901
H7 0.281 0.423 0.105
H8 0.282 0.577 0.401
H9 0.285 0.657 0.610
H10 0.297 0.962 0.217
H11 0.375 0.308 0.615
H12 0.376 0.681 0.895
H13 0.380 0.766 0.112
H14 0.388 0.223 0.397
H15 0.440 0.069 0.634
H16 0.461 0.973 0.377
H17 0.546 0.979 0.877
H18 0.568 0.075 0.133
H19 0.620 0.229 0.896
H20 0.629 0.761 0.613
H21 0.632 0.675 0.395
H22 0.634 0.313 0.114
H23 0.712 0.959 0.717
H24 0.723 0.662 0.110
H25 0.726 0.583 0.901
H26 0.728 0.417 0.606
H27 0.734 0.338 0.402
H28 0.758 0.783 0.291
H29 0.825 0.208 0.282
H30 0.883 0.365 0.711
H31 0.971 0.623 0.139
H32 0.975 0.516 0.881
O1 0.128 0.364 0.123
O2 0.134 0.263 0.865
O3 0.135 0.633 0.378
O4 0.147 0.738 0.644
O5 0.310 0.169 0.637
O6 0.312 0.822 0.873
O7 0.317 0.921 0.129
O8 0.328 0.068 0.373
O9 0.496 0.473 0.938
O10 0.502 0.524 0.073
O11 0.507 0.519 0.574
O12 0.512 0.468 0.440
O13 0.680 0.074 0.873
O14 0.691 0.916 0.629
O15 0.695 0.816 0.374
O16 0.698 0.174 0.137
O17 0.861 0.744 0.144
O18 0.873 0.259 0.367
O19 0.873 0.641 0.879
O20 0.881 0.357 0.624

---

The following is a DFT calculation (r2SCAN) of EuTiO3 after structural relaxation.

Output
calculated total energy = -1.2749 Ry per atom
space-group type = I4/mcm (140)
DFT formation energy = -3471 meV/atom
density = 6.96 g/cm3

Lattice parameters (Å, degrees): 5.525 5.525 5.525 120.53 120.53 89.08
Atoms (fractional coordinates):
Eu1 0.250 0.750 0.500
Eu2 0.750 0.250 0.500
Ti1 0.000 0.000 0.000
Ti2 0.500 0.500 0.000
O1 0.208 0.708 0.916
O2 0.250 0.250 0.000
O3 0.292 0.208 0.500
O4 0.708 0.792 0.500
O5 0.750 0.750 0.000
O6 0.792 0.292 0.084

---

The following is a DFT calculation (r2SCAN) of GdRh2 after structural relaxation.

Output
calculated total energy = -2.3004 Ry per atom
space-group type = Fd-3m (227)
DFT formation energy = -742 meV/atom
density = 11.29 g/cm3

Lattice parameters (Å, degrees): 5.325 5.325 5.325 60.00 60.00 60.00
Atoms (fractional coordinates):
Gd1 0.125 0.125 0.125
Gd2 0.875 0.875 0.875
Rh1 0.000 0.500 0.500
Rh2 0.500 0.000 0.500
Rh3 0.500 0.500 0.000
Rh4 0.500 0.500 0.500